Here is a relaxed structure of MoI2 from the Materials Project database. Energies are from PBE-GGA.

```
MoI2
1.0
8.265 -6.431 0.000
8.265 6.431 0.000
0.000 0.000 12.857
Mo I
12 24
direct
0.066 0.934 0.868
0.115 0.115 0.000
0.133 0.867 0.066
0.367 0.633 0.566
0.385 0.385 0.500
0.434 0.566 0.368
0.566 0.434 0.632
0.615 0.615 0.500
0.633 0.367 0.434
0.867 0.133 0.934
0.885 0.885 0.000
0.934 0.066 0.132
0.049 0.189 0.794
0.087 0.675 0.930
0.156 0.844 0.655
0.175 0.587 0.430
0.189 0.049 0.206
0.213 0.213 0.500
0.287 0.287 0.000
0.311 0.451 0.706
0.325 0.913 0.930
0.344 0.656 0.155
0.413 0.825 0.430
0.451 0.311 0.294
0.549 0.689 0.706
0.587 0.175 0.570
0.656 0.344 0.845
0.675 0.087 0.070
0.689 0.549 0.294
0.713 0.713 0.000
0.787 0.787 0.500
0.811 0.951 0.794
0.825 0.413 0.570
0.844 0.156 0.345
0.913 0.325 0.070
0.951 0.811 0.206
```

SG: Cmce (64)
corrected total energy (MP2020 scheme): -5.274 eV/atom
energy of formation: -0.6431 eV/atom